(1)
The following is a DFT calculation (PBE-GGA) of a geometry-optimized PaBO3 structure.

Cell lengths 3.6194, 3.6194, 3.6194 Å; angles 90.00, 90.00, 90.00 degrees
Sites, in units of the cell vectors:
Pa1 0.0000 0.0000 0.0000
B1 0.5000 0.5000 0.5000
O1 0.0000 0.5000 0.5000
O2 0.5000 0.0000 0.5000
O3 0.5000 0.5000 0.0000

## Properties
space group: Pm-3m, No. 221
crystal system: cubic
mass density: 10.151 g cm⁻³
total moment: 1.75 Bohr magnetons per cell
energy relative to the elements: -2.237 eV/atom
electronic total energy: -8.03 eV/atom



(2)
The following is a DFT calculation (PBE-GGA) of a geometry-optimized B6As structure.

Cell lengths 5.3342, 5.3342, 5.3342 Å; angles 70.55, 70.55, 70.55 degrees
Sites, in units of the cell vectors:
B1 0.1753 0.4846 0.4846
B2 0.2283 0.6777 0.6777
B3 0.3223 0.3223 0.7717
B4 0.3223 0.7717 0.3223
B5 0.4846 0.1753 0.4846
B6 0.4846 0.4846 0.1753
B7 0.5154 0.5154 0.8247
B8 0.5154 0.8247 0.5154
B9 0.6777 0.2283 0.6777
B10 0.6777 0.6777 0.2283
B11 0.7717 0.3223 0.3223
B12 0.8247 0.5154 0.5154
As1 0.1010 0.1010 0.1010
As2 0.8990 0.8990 0.8990

## Properties
space group: R-3m, No. 166
crystal system: trigonal
mass density: 3.552 g cm⁻³
energy relative to the elements: -0.170 eV/atom
electronic total energy: -6.56 eV/atom



Question: What is the formula in the second record?
Answer: B6As